{"formula": "MnP2O7", "functional": "PBE+U", "state": "relaxed", "total_magnetization_mub_per_fu": 3.0, "polymorph_energy_ev_per_atom": 0.0262, "ef_mev_per_atom": -2358, "cell": [[5.0171, 0.0000, 0.0000], [-0.3248, 6.3009, 0.0000], [-0.0217, -2.9463, 7.9322]], "species": ["Mn", "Mn", "P", "P", "P", "P", "O", "O", "O", "O", "O", "O", "O", "O", "O", "O", "O", "O", "O", "O"], "fractional_positions": [[0.2394, 0.2925, 0.2271], [0.7606, 0.7075, 0.7729], [0.2190, 0.3570, 0.6385], [0.2955, 0.0628, 0.8431], [0.7045, 0.9372, 0.1569], [0.7810, 0.6430, 0.3615], [0.0618, 0.5741, 0.2972], [0.0981, 0.8662, 0.8277], [0.2364, 0.2753, 0.4480], [0.2543, 0.2806, 0.9942], [0.2585, 0.1283, 0.6773], [0.4153, 0.0093, 0.1591], [0.4337, 0.5326, 0.7342], [0.5663, 0.4674, 0.2658], [0.5847, 0.9907, 0.8409], [0.7415, 0.8717, 0.3227], [0.7457, 0.7194, 0.0058], [0.7636, 0.7247, 0.5520], [0.9019, 0.1338, 0.1723], [0.9382, 0.4259, 0.7028]]}